# Rb2B7H5O14 | the Materials Project | GGA-PBE | relaxed
data_Rb2B7H5O14
_space_group_name_H-M_alt 'P 1 21/c 1'
_space_group_IT_number 14
_space_group_name_Hall '-P 2ybc'
_cell_length_a 8.153
_cell_length_b 12.024
_cell_length_c 14.614
_cell_angle_alpha 90.00
_cell_angle_beta 110.05
_cell_angle_gamma 90.00
loop_
_atom_site_label
_atom_site_type_symbol
_atom_site_fract_x
_atom_site_fract_y
_atom_site_fract_z
Rb1 Rb 0.027 0.168 0.068
Rb2 Rb 0.307 0.518 0.074
B1 B 0.035 0.583 0.791
B2 B 0.115 0.197 0.375
B3 B 0.230 0.590 0.700
B4 B 0.325 0.674 0.865
B5 B 0.330 0.212 0.298
B6 B 0.392 0.623 0.402
B7 B 0.428 0.235 0.480
H1 H 0.135 0.680 0.202
H2 H 0.209 0.033 0.770
H3 H 0.357 0.607 0.608
H4 H 0.398 0.045 0.929
H5 H 0.472 0.246 0.216
O1 O 0.058 0.685 0.133
O2 O 0.067 0.563 0.704
O3 O 0.128 0.061 0.706
O4 O 0.157 0.191 0.291
O5 O 0.161 0.625 0.871
O6 O 0.238 0.215 0.464
O7 O 0.247 0.576 0.609
O8 O 0.294 0.703 0.341
O9 O 0.347 0.513 0.377
O10 O 0.361 0.210 0.211
O11 O 0.364 0.626 0.779
O12 O 0.458 0.230 0.384
O13 O 0.467 0.654 0.954
O14 O 0.473 0.147 0.014
# Total DFT energy (no corrections) = -6.890 eV per atom
# Formation enthalpy at 0 K = -55.66 kcal/mol of atoms
# Crystal system = monoclinic